Run one
Compound: Li4Cu3O6
Source: the Materials Project
Functional: PBE
Structure: relaxed

abc: 10.0955 3.5274 8.3761
angles: 90.00 106.08 90.00
With the nearest neighbours (Å) after each atom.
Space group Cm (No. 8)
One atom of each set of equivalent atoms:
Li (0.0000, 0.0000, 0.0000) x2  4 O 1.96-1.99
Li (0.0008, 0.0000, 0.6960) x2  4 O 1.96-2.02
Li (0.0561, 0.5000, 0.5192) x2  4 O 1.95-2.08
Li (0.0611, 0.5000, 0.2145) x2  4 O 1.94-2.06
Cu (0.2753, 0.0000, 0.4368) x2  4 O 1.91-1.95
Cu (0.2807, 0.0000, 0.1063) x2  4 O 1.84-1.87
Cu (0.2826, 0.0000, 0.7778) x2  4 O 1.85-1.89
O (0.1448, 0.0000, 0.2171) x2  2 Cu 1.86-1.94, 3 Li 1.95-1.99
O (0.1471, 0.0000, 0.5736) x2  2 Cu 1.87-1.95, 3 Li 1.98-2.02
O (0.1546, 0.0000, 0.8991) x2  2 Cu 1.85, 2 Li 1.96-1.97
O (0.4077, 0.0000, 0.3124) x2  2 Cu 1.84-1.91, 2 Li 1.94-1.95
O (0.4105, 0.0000, 0.6521) x2  2 Cu 1.88-1.94, 3 Li 1.97-2.08
O (0.4132, 0.0000, 0.9886) x2  2 Cu 1.87-1.89, 3 Li 1.96-2.06



Run two
Compound: Li4Cu3O6
Source: the Materials Project
Functional: PBE
Structure: relaxed

abc: 10.1149 8.3286 7.3535
angles: 90.00 117.25 90.00
With the nearest neighbours (Å) after each atom.
Space group C2/m (No. 12)
One atom of each set of equivalent atoms:
Li (0.0000, 0.1853, 0.0000) x4  4 O 2.00-2.21
Li (0.1372, 0.0000, 0.3592) x4  4 O 1.90-1.97
Li (0.1390, 0.3384, 0.3672) x8  4 O 1.92-2.01
Cu (0.1532, 0.1648, 0.7572) x8  4 O 1.84-1.89
Cu (0.1548, 0.5000, 0.7691) x4  4 O 1.89-1.93
O (0.0648, 0.3258, 0.8357) x8  2 Cu 1.84-1.89, 2 Li 1.92-2.00
O (0.0660, 0.0000, 0.8420) x4  2 Cu 1.89, 1 Li 1.90
O (0.2266, 0.0000, 0.6538) x4  2 Cu 1.88, 3 Li 1.93-1.97
O (0.2388, 0.3317, 0.6745) x8  2 Cu 1.88-1.93, 3 Li 1.97-2.01



Run three
Compound: Li4Cu3O6
Source: the Materials Project
Functional: PBE
Structure: relaxed

abc: 10.1035 8.3008 7.3600
angles: 90.00 116.37 90.00
With the nearest neighbours (Å) after each atom.
Space group Cm (No. 8)
One atom of each set of equivalent atoms:
Li (0.0000, 0.0000, 0.0000) x2  4 O 1.95-2.04
Li (0.0063, 0.3380, 0.0193) x4  4 O 1.94-2.01
Li (0.2227, 0.1771, 0.2624) x4  4 O 1.91-2.07
Li (0.3370, 0.3362, 0.6101) x4  4 O 2.05-2.12
Li (0.3837, 0.0000, 0.6562) x2  5 O 2.06-2.14
Cu (0.0127, 0.5000, 0.3986) x2  4 O 1.89-1.92
Cu (0.0143, 0.1633, 0.4059) x4  4 O 1.86-1.89
Cu (0.2005, 0.3348, 0.8635) x4  4 O 1.88-1.89
Cu (0.2093, 0.0000, 0.8740) x2  4 O 1.90
O (0.0886, 0.5000, 0.9040) x2  2 Cu 1.88, 3 Li 1.96-2.06
O (0.0962, 0.0000, 0.3089) x2  2 Cu 1.89, 3 Li 2.04-2.07
O (0.0965, 0.3276, 0.3169) x4  2 Cu 1.86-1.89, 2 Li 1.95-1.97
O (0.1264, 0.1678, 0.9673) x4  2 Cu 1.89-1.90, 3 Li 1.95-2.01
O (0.2962, 0.5000, 0.7906) x2  2 Cu 1.89, 3 Li 1.95-2.07
O (0.3051, 0.1695, 0.8052) x4  2 Cu 1.89-1.90, 2 Li 1.94-2.12
O (0.4194, 0.1703, 0.4749) x4  2 Cu 1.88-1.92, 3 Li 1.91-2.08
O (0.4427, 0.5000, 0.5112) x2  2 Cu 1.86, 2 Li 2.05



Going by the computed energies, the most stable comes first: run three, run two, run one.



Run one
Compound: LiCu2PO4
Source: the Materials Project
Functional: PBE
Structure: relaxed

abc: 10.8967 6.2370 5.2631
angles: 90.00 90.00 90.00
With the nearest neighbours (Å) after each atom.
Space group Pnma (No. 62)
One atom of each set of equivalent atoms:
Li (0.0830, 0.2500, 0.2019) x4  4 O 1.95-2.06
Cu (0.1749, 0.5295, 0.8029) x8  4 O 2.02-2.21
P (0.0787, 0.7500, 0.3053) x4  4 O 1.55-1.57
O (0.0508, 0.2500, 0.8155) x4  1 P 1.55
O (0.0685, 0.7500, 0.6025) x4  1 P 1.57
O (0.1495, 0.5447, 0.2184) x8  1 P 1.56



Run two
Compound: LiCu2PO4
Source: the Materials Project
Functional: PBE
Structure: relaxed

abc: 5.5688 6.1985 10.3172
angles: 89.74 88.81 88.89
With the nearest neighbours (Å) after each atom.
Space group P1 (No. 1)
One atom of each set of equivalent atoms:
Li (0.0000, 0.0000, 0.0000) x1  4 O 1.99-2.06
Li (0.0099, 0.0020, 0.5036) x1  4 O 2.00-2.11
Li (0.1800, 0.2518, 0.7505) x1  4 O 1.97-2.05
Li (0.5284, 0.2542, 0.5091) x1  4 O 2.01-2.05
Cu (0.2089, 0.7408, 0.7452) x1  4 O 2.07-2.29
Cu (0.2096, 0.7377, 0.2453) x1  4 O 2.10-2.21
Cu (0.2197, 0.2649, 0.2402) x1  3 O 2.07-2.09
Cu (0.5049, 0.7192, 0.0142) x1  3 O 1.99-2.22
Cu (0.5061, 0.7170, 0.5224) x1  3 O 2.01-2.23
Cu (0.5121, 0.2782, 0.0125) x1  3 O 2.01-2.20
Cu (0.6152, 0.4963, 0.2551) x1  2 O 1.98-1.99
Cu (0.6237, 0.5117, 0.7630) x1  2 O 1.96
P (0.0291, 0.4919, 0.5020) x1  4 O 1.56-1.59
P (0.0297, 0.4996, 0.9948) x1  4 O 1.54-1.57
P (0.6925, 0.0124, 0.7491) x1  4 O 1.55-1.57
P (0.7006, 0.9997, 0.2583) x1  4 O 1.55-1.57
O (0.0334, 0.4918, 0.3513) x1  1 P 1.56
O (0.0337, 0.4974, 0.8452) x1  1 P 1.54
O (0.1479, 0.7089, 0.5482) x1  1 P 1.59
O (0.1503, 0.7103, 0.0439) x1  1 P 1.57
O (0.1536, 0.2847, 0.0431) x1  1 P 1.57
O (0.1709, 0.2937, 0.5569) x1  1 P 1.56
O (0.5354, 0.2122, 0.7952) x1  1 P 1.57
O (0.5563, 0.1978, 0.3179) x1  1 P 1.57
O (0.5575, 0.7996, 0.3092) x1  1 P 1.57
O (0.5568, 0.8133, 0.8081) x1  1 P 1.57
O (0.6932, 0.0041, 0.5988) x1  1 P 1.55
O (0.7004, 0.0066, 0.1079) x1  1 P 1.55
O (0.7638, 0.4874, 0.5543) x1  1 P 1.56
O (0.7700, 0.5014, 0.0528) x1  1 P 1.55
O (0.9507, 0.0172, 0.8031) x1  1 P 1.55
O (0.9590, 0.9961, 0.3122) x1  1 P 1.55



Run three
Compound: LiCu2PO4
Source: the Materials Project
Functional: PBE
Structure: relaxed

abc: 4.3972 4.3972 9.0952
angles: 90.00 90.00 90.00
With the nearest neighbours (Å) after each atom.
Space group I-42m (No. 121)
One atom of each set of equivalent atoms:
Li (0.0000, 0.0000, 0.0000) x2  4 O 2.02
Cu (0.0000, 0.5000, 0.2500) x4  4 O 2.10
P (0.0000, 0.0000, 0.5000) x2  4 O 1.56
O (0.2071, 0.2071, 0.4032) x8  1 P 1.56



Run four
Compound: LiCu2PO4
Source: the Materials Project
Functional: PBE
Structure: relaxed

abc: 5.5818 6.2596 10.2099
angles: 90.52 90.00 92.99
With the nearest neighbours (Å) after each atom.
Space group P1 (No. 1)
One atom of each set of equivalent atoms:
Li (0.0000, 0.0000, 0.0000) x1  4 O 1.96-2.10
Li (0.0107, 0.0012, 0.4990) x1  4 O 1.97-2.06
Li (0.1886, 0.7604, 0.2475) x1  4 O 1.98-2.12
Li (0.6448, 0.9996, 0.7473) x1  4 O 1.99-2.09
Cu (0.0800, 0.7408, 0.7375) x1  2 O 1.95
Cu (0.5805, 0.2594, 0.9862) x1  2 O 1.95-1.96
Cu (0.5853, 0.2699, 0.4768) x1  2 O 1.94
Cu (0.6689, 0.0505, 0.2467) x1  4 O 2.03-2.27
Cu (0.6883, 0.5092, 0.7344) x1  4 O 2.09-2.23
Cu (0.6910, 0.4505, 0.2263) x1  2 O 1.95-1.97
Cu (0.9630, 0.4835, 0.9862) x1  4 O 2.05-2.27
Cu (0.9745, 0.4988, 0.4997) x1  4 O 2.11-2.26
P (0.1485, 0.2545, 0.2530) x1  4 O 1.55-1.58
P (0.1659, 0.2345, 0.7547) x1  4 O 1.54-1.58
P (0.4832, 0.7660, 0.0043) x1  4 O 1.55-1.58
P (0.4918, 0.7655, 0.5027) x1  4 O 1.55-1.57
O (0.0096, 0.0367, 0.7000) x1  1 P 1.58
O (0.0200, 0.0444, 0.1972) x1  1 P 1.57
O (0.0393, 0.4674, 0.2041) x1  1 P 1.58
O (0.0430, 0.4348, 0.6981) x1  1 P 1.57
O (0.1522, 0.2425, 0.9063) x1  1 P 1.55
O (0.1519, 0.2512, 0.4046) x1  1 P 1.55
O (0.2174, 0.7670, 0.9600) x1  1 P 1.55
O (0.2356, 0.7721, 0.4443) x1  1 P 1.55
O (0.4061, 0.2573, 0.1952) x1  1 P 1.55
O (0.4272, 0.2315, 0.7058) x1  1 P 1.54
O (0.4863, 0.7495, 0.6544) x1  1 P 1.55
O (0.5023, 0.7649, 0.1559) x1  1 P 1.55
O (0.6042, 0.5651, 0.9454) x1  1 P 1.57
O (0.6248, 0.5738, 0.4412) x1  1 P 1.57
O (0.6369, 0.9608, 0.9459) x1  1 P 1.58
O (0.6512, 0.9692, 0.4625) x1  1 P 1.57



Going by the computed energies, the most stable comes first: run four, run two, run one, run three.



Run one
Compound: LiCu2PO4
Source: the Materials Project
Functional: PBE
Structure: relaxed

abc: 5.1701 5.5049 6.2111
angles: 89.56 88.81 88.13
With the nearest neighbours (Å) after each atom.
Space group P1 (No. 1)
One atom of each set of equivalent atoms:
Li (0.0000, 0.0000, 0.0000) x1  4 O 1.99-2.07
Li (0.0131, 0.5256, 0.2457) x1  4 O 1.99-2.03
Cu (0.0653, 0.4994, 0.7145) x1  2 O 2.01-2.02
Cu (0.4686, 0.2114, 0.2702) x1  3 O 2.03-2.11
Cu (0.4730, 0.2186, 0.7311) x1  4 O 2.10-2.32
Cu (0.5046, 0.6024, 0.5063) x1  2 O 2.00
P (0.5155, 0.6931, 0.0029) x1  4 O 1.55-1.58
P (0.9861, 0.0193, 0.4928) x1  4 O 1.55-1.58
O (0.0804, 0.1639, 0.2887) x1  1 P 1.57
O (0.0806, 0.1348, 0.7082) x1  1 P 1.58
O (0.0972, 0.7539, 0.4797) x1  1 P 1.55
O (0.2153, 0.6872, 0.0049) x1  1 P 1.55
O (0.6137, 0.9558, 0.0007) x1  1 P 1.55
O (0.6297, 0.5509, 0.2029) x1  1 P 1.58
O (0.6372, 0.5510, 0.8038) x1  1 P 1.58
O (0.6872, 0.0163, 0.4981) x1  1 P 1.55



Run two
Compound: LiCu2PO4
Source: the Materials Project
Functional: PBE
Structure: relaxed

abc: 4.5087 4.5087 8.5673
angles: 90.00 90.00 90.00
With the nearest neighbours (Å) after each atom.
Space group I-4 (No. 82)
One atom of each set of equivalent atoms:
Li (0.0000, 0.0000, 0.0000) x2  4 O 1.97
Cu (0.0000, 0.0000, 0.5000) x2  4 O 2.11
Cu (0.0000, 0.5000, 0.2500) x2  4 O 2.13
P (0.0000, 0.5000, 0.7500) x2  4 O 1.56
O (0.1838, 0.7125, 0.8564) x8  1 P 1.56



Run three
Compound: LiCu2PO4
Source: the Materials Project
Functional: PBE
Structure: relaxed

abc: 6.1390 5.5319 5.1790
angles: 90.00 90.00 90.00
With the nearest neighbours (Å) after each atom.
Space group Pmn2_1 (No. 31)
One atom of each set of equivalent atoms:
Li (0.0000, 0.1616, 0.0000) x2  4 O 1.99-2.00
Cu (0.2478, 0.6542, 0.9938) x4  4 O 2.05-2.18
P (0.0000, 0.8380, 0.4987) x2  4 O 1.56-1.57
O (0.0000, 0.0957, 0.6209) x2  1 P 1.56
O (0.0000, 0.8541, 0.1986) x2  1 P 1.56
O (0.2097, 0.7012, 0.5919) x4  1 P 1.57



Going by the computed energies, the most stable comes first: run one, run two, run three.



Run one
Compound: LiCu2PO4
Source: the Materials Project
Functional: PBE
Structure: relaxed

abc: 5.1679 5.5361 6.2090
angles: 89.38 89.97 89.67
With the nearest neighbours (Å) after each atom.
Space group P1 (No. 1)
One atom of each set of equivalent atoms:
Li (0.0000, 0.0000, 0.0000) x1  4 O 1.96-2.04
Li (0.4993, 0.8263, 0.7519) x1  4 O 1.98-2.07
Cu (0.0110, 0.4758, 0.2526) x1  3 O 2.00-2.21
Cu (0.4976, 0.3269, 0.0167) x1  4 O 2.03-2.19
Cu (0.5078, 0.3260, 0.4855) x1  4 O 2.01-2.20
Cu (0.9959, 0.0059, 0.5007) x1  4 O 2.09-2.17
P (0.4975, 0.8520, 0.2473) x1  4 O 1.55-1.57
P (0.9943, 0.5089, 0.7568) x1  4 O 1.55-1.57
O (0.0886, 0.3545, 0.9554) x1  1 P 1.57
O (0.0981, 0.3731, 0.5535) x1  1 P 1.57
O (0.1095, 0.7679, 0.7644) x1  1 P 1.56
O (0.1974, 0.8593, 0.2402) x1  1 P 1.55
O (0.5926, 0.9724, 0.4616) x1  1 P 1.57
O (0.5996, 0.5866, 0.2505) x1  1 P 1.56
O (0.6122, 0.9766, 0.0412) x1  1 P 1.57
O (0.6939, 0.5179, 0.7528) x1  1 P 1.55



Run two
Compound: LiCu2PO4
Source: the Materials Project
Functional: PBE
Structure: relaxed

abc: 5.4672 6.2782 10.3529
angles: 90.16 90.12 92.00
With the nearest neighbours (Å) after each atom.
Space group P1 (No. 1)
One atom of each set of equivalent atoms:
Li (0.0000, 0.0000, 0.0000) x1  4 O 1.97-2.03
Li (0.0029, 0.9883, 0.4922) x1  4 O 1.95-2.03
Li (0.1715, 0.7429, 0.2436) x1  4 O 2.00-2.13
Li (0.6540, 0.9975, 0.2459) x1  4 O 1.98-2.03
Cu (0.0937, 0.7413, 0.7491) x1  2 O 2.00-2.02
Cu (0.5594, 0.2572, 0.9857) x1  2 O 1.95-1.96
Cu (0.5598, 0.2482, 0.4855) x1  2 O 1.99
Cu (0.6748, 0.9663, 0.7578) x1  4 O 2.07-2.31
Cu (0.6772, 0.4509, 0.2273) x1  2 O 1.99
Cu (0.6780, 0.5138, 0.7452) x1  4 O 2.08-2.19
Cu (0.9747, 0.4678, 0.9923) x1  4 O 2.05-2.25
Cu (0.9841, 0.4879, 0.4931) x1  4 O 2.09-2.19
P (0.1480, 0.2334, 0.2482) x1  4 O 1.55-1.59
P (0.1644, 0.2376, 0.7444) x1  4 O 1.55-1.57
P (0.4826, 0.7569, 0.0072) x1  4 O 1.55-1.58
P (0.4904, 0.7527, 0.4908) x1  4 O 1.56-1.57
O (0.0053, 0.0339, 0.1933) x1  1 P 1.56
O (0.0244, 0.0374, 0.6847) x1  1 P 1.57
O (0.0314, 0.4389, 0.6927) x1  1 P 1.57
O (0.0374, 0.4486, 0.1979) x1  1 P 1.59
O (0.1413, 0.2332, 0.3981) x1  1 P 1.55
O (0.1499, 0.2325, 0.8944) x1  1 P 1.56
O (0.2141, 0.7623, 0.9595) x1  1 P 1.55
O (0.2265, 0.7557, 0.4347) x1  1 P 1.56
O (0.4176, 0.2248, 0.1997) x1  1 P 1.56
O (0.4328, 0.2429, 0.6962) x1  1 P 1.55
O (0.4827, 0.7503, 0.6411) x1  1 P 1.56
O (0.4977, 0.7486, 0.1564) x1  1 P 1.55
O (0.6098, 0.5599, 0.9468) x1  1 P 1.57
O (0.6238, 0.5518, 0.4393) x1  1 P 1.57
O (0.6381, 0.9576, 0.9584) x1  1 P 1.58
O (0.6450, 0.9510, 0.4402) x1  1 P 1.57



Going by the computed energies, the most stable comes first: run two, run one.



Run one
Compound: LiCu2PO4
Source: the Materials Project
Functional: PBE
Structure: relaxed

abc: 5.4220 5.1839 6.2651
angles: 90.00 91.14 90.00
With the nearest neighbours (Å) after each atom.
Space group P2_1 (No. 4)
One atom of each set of equivalent atoms:
Li (0.1720, 0.0000, 0.4992) x2  4 O 1.96-2.03
Cu (0.1658, 0.9899, 0.0017) x2  4 O 2.09-2.14
Cu (0.3036, 0.4961, 0.2452) x2  3 O 2.02-2.19
P (0.3265, 0.4995, 0.7375) x2  4 O 1.55-1.57
O (0.1803, 0.3884, 0.5413) x2  1 P 1.56
O (0.2022, 0.3941, 0.9446) x2  1 P 1.57
O (0.3135, 0.7992, 0.7371) x2  1 P 1.55
O (0.4013, 0.9057, 0.2676) x2  1 P 1.55



Run two
Compound: LiCu2PO4
Source: the Materials Project
Functional: PBE
Structure: relaxed

abc: 5.5675 6.2631 10.2467
angles: 89.04 89.33 88.82
With the nearest neighbours (Å) after each atom.
Space group P1 (No. 1)
One atom of each set of equivalent atoms:
Li (0.0000, 0.0000, 0.0000) x1  4 O 1.99-2.12
Li (0.0069, 0.9905, 0.4989) x1  4 O 1.99-2.11
Li (0.1805, 0.2396, 0.2542) x1  4 O 1.95-2.10
Li (0.5373, 0.2404, 0.5028) x1  4 O 2.01-2.05
Cu (0.1943, 0.2670, 0.7382) x1  4 O 2.03-2.25
Cu (0.2206, 0.7108, 0.7388) x1  3 O 2.09-2.13
Cu (0.2229, 0.7250, 0.2474) x1  3 O 2.04-2.14
Cu (0.4993, 0.6943, 0.0211) x1  2 O 1.97
Cu (0.5075, 0.2746, 0.0049) x1  4 O 2.02-2.19
Cu (0.5084, 0.6997, 0.5255) x1  2 O 2.01-2.02
Cu (0.6032, 0.5031, 0.7615) x1  2 O 1.95-1.97
Cu (0.6040, 0.5000, 0.2597) x1  2 O 1.97-1.99
P (0.0307, 0.4836, 0.4894) x1  4 O 1.55-1.58
P (0.0315, 0.4939, 0.0000) x1  4 O 1.55-1.58
P (0.6953, 0.0051, 0.2517) x1  4 O 1.55-1.57
P (0.7031, 0.9973, 0.7488) x1  4 O 1.55-1.57
O (0.0233, 0.4911, 0.8491) x1  1 P 1.55
O (0.0327, 0.4883, 0.3379) x1  1 P 1.55
O (0.1455, 0.6959, 0.5385) x1  1 P 1.58
O (0.1472, 0.7084, 0.0437) x1  1 P 1.58
O (0.1569, 0.2885, 0.0574) x1  1 P 1.56
O (0.1754, 0.2804, 0.5372) x1  1 P 1.57
O (0.5427, 0.1995, 0.3055) x1  1 P 1.57
O (0.5611, 0.1997, 0.7989) x1  1 P 1.57
O (0.5609, 0.8048, 0.8094) x1  1 P 1.57
O (0.5627, 0.8046, 0.3099) x1  1 P 1.57
O (0.6923, 0.0038, 0.1001) x1  1 P 1.55
O (0.6966, 0.9941, 0.5975) x1  1 P 1.55
O (0.7677, 0.4722, 0.5426) x1  1 P 1.56
O (0.7704, 0.4960, 0.0560) x1  1 P 1.56
O (0.9563, 0.0063, 0.3039) x1  1 P 1.55
O (0.9634, 0.9932, 0.8023) x1  1 P 1.56



Going by the computed energies, the most stable comes first: run two, run one.